## FeP4O12 (GGA+U)

Data for a relaxed structure of FeP4O12. Values from VASP.

Summary:
- magnetization (μB per formula unit) = 4.0
- ΔE to the lowest computed polymorph (eV per atom) = 0.0000
- total DFT energy (no corrections) (eV per cell) = -237.9

The structure in Quantum ESPRESSO input format:
```
&SYSTEM
  ibrav = 0, nat = 34, ntyp = 3
/
ATOMIC_SPECIES
O 16.00 O.upf
P 30.97 P.upf
Fe 55.84 Fe.upf
ATOMIC_POSITIONS crystal
O 0.336 0.668 0.430
O 0.000 0.231 0.769
O 0.377 0.912 0.278
O 0.399 0.148 0.148
O 0.664 0.570 0.332
O 0.030 0.449 0.833
O 0.760 0.329 0.068
O 0.000 0.769 0.231
O 0.336 0.430 0.668
O 0.664 0.332 0.570
O 0.304 0.089 0.394
O 0.030 0.833 0.449
O 0.970 0.167 0.551
O 0.696 0.606 0.911
O 0.760 0.068 0.329
O 0.601 0.852 0.852
O 0.240 0.932 0.671
O 0.970 0.551 0.167
O 0.377 0.278 0.912
O 0.240 0.671 0.932
O 0.623 0.088 0.722
O 0.304 0.394 0.089
O 0.623 0.722 0.088
O 0.696 0.911 0.606
P 0.813 0.642 0.211
P 0.530 0.942 0.701
P 0.470 0.058 0.299
P 0.187 0.789 0.358
P 0.813 0.211 0.642
P 0.187 0.358 0.789
P 0.470 0.299 0.058
P 0.530 0.701 0.942
Fe 0.000 0.000 0.500
Fe 0.000 0.500 0.000
CELL_PARAMETERS angstrom
5.139 0.003 -0.545
-0.777 9.933 3.131
0.005 -0.017 10.444
```